(1)
Entry from the Materials Project: Na6Al4Ga4Si3S9O48 after structural relaxation (PBE-GGA).

Values from the calculation:
* crystal system: triclinic

```
data_Na6Al4Ga4Si3S9O48
_chemical_formula_sum 'Na18 Al12 Ga12 Si9 S27 O144'
_symmetry_space_group_name_H-M 'P 1'
_symmetry_Int_Tables_number 1
_cell_length_a 8.5060
_cell_length_b 14.8410
_cell_length_c 21.9201
_cell_angle_alpha 90.58
_cell_angle_beta 90.11
_cell_angle_gamma 90.06
loop_
_symmetry_equiv_pos_as_xyz
'x,y,z'
loop_
_atom_site_label
_atom_site_type_symbol
_atom_site_fract_x
_atom_site_fract_y
_atom_site_fract_z
_atom_site_occupancy
Na1 Na 0.0000 0.0000 0.0000 1
Na2 Na 0.0003 0.3216 0.1688 1
Na3 Na 0.0028 0.9999 0.5032 1
Na4 Na 0.1354 0.8312 0.9133 1
Na5 Na 0.1369 0.4903 0.2546 1
Na6 Na 0.3583 0.9921 0.7460 1
Na7 Na 0.3595 0.3305 0.4176 1
Na8 Na 0.4898 0.8289 0.6648 1
Na9 Na 0.4930 0.4995 0.5016 1
Na10 Na 0.4972 0.1623 0.8314 1
Na11 Na 0.5010 0.1551 0.3340 1
Na12 Na 0.5015 0.4980 0.9990 1
Na13 Na 0.5064 0.8304 0.1709 1
Na14 Na 0.6350 0.3316 0.9127 1
Na15 Na 0.8565 0.8325 0.4169 1
Na16 Na 0.9865 0.3271 0.6694 1
Na17 Na 0.9926 0.6555 0.8307 1
Na18 Na 0.9953 0.6635 0.3355 1
Al1 Al 0.0005 0.6627 0.6875 1
Al2 Al 0.0039 0.3298 0.5184 1
Al3 Al 0.0124 0.9913 0.6486 1
Al4 Al 0.4890 0.4909 0.1516 1
Al5 Al 0.4889 0.8320 0.0173 1
Al6 Al 0.4926 0.1617 0.1892 1
Al7 Al 0.5015 0.4896 0.6516 1
Al8 Al 0.5016 0.8417 0.5215 1
Al9 Al 0.5086 0.8365 0.3141 1
Al10 Al 0.9849 0.3374 0.8109 1
Al11 Al 0.9885 0.3306 0.0165 1
Al12 Al 0.9891 0.9912 0.1535 1
Ga1 Ga 0.0035 0.6553 0.4833 1
Ga2 Ga 0.0087 0.3302 0.3163 1
Ga3 Ga 0.0112 0.9895 0.8504 1
Ga4 Ga 0.4854 0.4895 0.3544 1
Ga5 Ga 0.4867 0.8325 0.8129 1
Ga6 Ga 0.4904 0.1550 0.9819 1
Ga7 Ga 0.4983 0.1437 0.4846 1
Ga8 Ga 0.5028 0.1645 0.6828 1
Ga9 Ga 0.5148 0.4900 0.8489 1
Ga10 Ga 0.9824 0.9908 0.3524 1
Ga11 Ga 0.9893 0.6706 0.1872 1
Ga12 Ga 0.9898 0.6537 0.9814 1
Si1 Si 0.1364 0.4758 0.4188 1
Si2 Si 0.1364 0.8434 0.7500 1
Si3 Si 0.3470 0.0145 0.5868 1
Si4 Si 0.3545 0.9758 0.9183 1
Si5 Si 0.3560 0.3445 0.2494 1
Si6 Si 0.6397 0.9747 0.4174 1
Si7 Si 0.6418 0.3459 0.7488 1
Si8 Si 0.8478 0.8488 0.2503 1
Si9 Si 0.8560 0.4736 0.9181 1
S1 S 0.1354 0.1435 0.7517 1
S2 S 0.1384 0.1813 0.4183 1
S3 S 0.1448 0.5146 0.0856 1
S4 S 0.1456 0.8078 0.0829 1
S5 S 0.2013 0.1607 0.0857 1
S6 S 0.2101 0.4945 0.7500 1
S7 S 0.2180 0.8281 0.4171 1
S8 S 0.2766 0.3286 0.9181 1
S9 S 0.2837 0.9942 0.2497 1
S10 S 0.2919 0.6586 0.5860 1
S11 S 0.3481 0.3102 0.5825 1
S12 S 0.3564 0.6816 0.9195 1
S13 S 0.3565 0.6420 0.2495 1
S14 S 0.6338 0.6843 0.4181 1
S15 S 0.6429 0.3055 0.0847 1
S16 S 0.6426 0.6393 0.7485 1
S17 S 0.6441 0.0162 0.0857 1
S18 S 0.6962 0.6612 0.0842 1
S19 S 0.7143 0.3277 0.4187 1
S20 S 0.7185 0.9939 0.7506 1
S21 S 0.7793 0.4943 0.2494 1
S22 S 0.7787 0.8281 0.9195 1
S23 S 0.7970 0.1634 0.5834 1
S24 S 0.8491 0.5162 0.5856 1
S25 S 0.8502 0.1394 0.2487 1
S26 S 0.8507 0.8033 0.5842 1
S27 S 0.8580 0.1833 0.9183 1
O1 O 0.0582 0.5749 0.4241 1
O2 O 0.0597 0.7446 0.7412 1
O3 O 0.0614 0.1033 0.6972 1
O4 O 0.0639 0.4368 0.3545 1
O5 O 0.0653 0.2227 0.4730 1
O6 O 0.0646 0.8808 0.8151 1
O7 O 0.0697 0.2343 0.7609 1
O8 O 0.0716 0.5546 0.1412 1
O9 O 0.0715 0.7676 0.0270 1
O10 O 0.0738 0.0907 0.4108 1
O11 O 0.0752 0.4233 0.0777 1
O12 O 0.0762 0.8989 0.0904 1
O13 O 0.1003 0.0799 0.0937 1
O14 O 0.1009 0.5715 0.7414 1
O15 O 0.1026 0.2428 0.0784 1
O16 O 0.1048 0.7506 0.4225 1
O17 O 0.1113 0.9160 0.6967 1
O18 O 0.1122 0.4063 0.4744 1
O19 O 0.1145 0.2365 0.3625 1
O20 O 0.1147 0.0866 0.8071 1
O21 O 0.1186 0.4099 0.7565 1
O22 O 0.1205 0.5722 0.0318 1
O23 O 0.1213 0.7498 0.1365 1
O24 O 0.1228 0.9118 0.4136 1
O25 O 0.1572 0.0063 0.5926 1
O26 O 0.1624 0.3372 0.2541 1
O27 O 0.1615 0.9842 0.9141 1
O28 O 0.1735 0.3175 0.5765 1
O29 O 0.1808 0.3370 0.9748 1
O30 O 0.1815 0.6790 0.9271 1
O31 O 0.1816 0.6440 0.2414 1
O32 O 0.1834 0.3110 0.8630 1
O33 O 0.1841 0.9826 0.1940 1
O34 O 0.1873 0.6738 0.6394 1
O35 O 0.1913 0.0156 0.3048 1
O36 O 0.1978 0.6402 0.5298 1
O37 O 0.2947 0.1435 0.0295 1
O38 O 0.3028 0.5155 0.8059 1
O39 O 0.3049 0.1759 0.1391 1
O40 O 0.3082 0.1490 0.7459 1
O41 O 0.3086 0.4823 0.6952 1
O42 O 0.3099 0.8108 0.3613 1
O43 O 0.3122 0.1796 0.4240 1
O44 O 0.3139 0.8357 0.4730 1
O45 O 0.3189 0.5075 0.0917 1
O46 O 0.3194 0.8146 0.0768 1
O47 O 0.3301 0.4835 0.4147 1
O48 O 0.3306 0.8369 0.7538 1
O49 O 0.3657 0.0790 0.5282 1
O50 O 0.3717 0.4120 0.9154 1
O51 O 0.3731 0.2544 0.6367 1
O52 O 0.3744 0.9101 0.2554 1
O53 O 0.3761 0.4161 0.1937 1
O54 O 0.3761 0.5846 0.3041 1
O55 O 0.3764 0.9076 0.9755 1
O56 O 0.3773 0.7372 0.8644 1
O57 O 0.3887 0.2508 0.9244 1
O58 O 0.3907 0.5769 0.5946 1
O59 O 0.3909 0.7384 0.5785 1
O60 O 0.3923 0.0719 0.2404 1
O61 O 0.4157 0.4027 0.5905 1
O62 O 0.4186 0.7323 0.2579 1
O63 O 0.4197 0.5906 0.9124 1
O64 O 0.4212 0.2727 0.5264 1
O65 O 0.4285 0.9152 0.5787 1
O66 O 0.4292 0.7227 0.9747 1
O67 O 0.4304 0.0588 0.6484 1
O68 O 0.4299 0.9343 0.8560 1
O69 O 0.4307 0.3859 0.3124 1
O70 O 0.4306 0.6011 0.1942 1
O71 O 0.4334 0.2464 0.2402 1
O72 O 0.4337 0.0748 0.9239 1
O73 O 0.5604 0.2463 0.7418 1
O74 O 0.5603 0.3823 0.8129 1
O75 O 0.5614 0.9292 0.3578 1
O76 O 0.5633 0.7231 0.4738 1
O77 O 0.5639 0.5980 0.6950 1
O78 O 0.5667 0.0755 0.4210 1
O79 O 0.5689 0.0594 0.1392 1
O80 O 0.5711 0.2679 0.0273 1
O81 O 0.5720 0.5913 0.4105 1
O82 O 0.5732 0.9249 0.0784 1
O83 O 0.5746 0.3975 0.0922 1
O84 O 0.5773 0.7309 0.7558 1
O85 O 0.5970 0.5795 0.0922 1
O86 O 0.5976 0.7426 0.0763 1
O87 O 0.6027 0.2521 0.4247 1
O88 O 0.6080 0.7389 0.3629 1
O89 O 0.6095 0.0716 0.7483 1
O90 O 0.6106 0.4126 0.6925 1
O91 O 0.6116 0.2470 0.1370 1
O92 O 0.6213 0.4131 0.4152 1
O93 O 0.6211 0.5875 0.8055 1
O94 O 0.6224 0.0715 0.0301 1
O95 O 0.6225 0.9071 0.4751 1
O96 O 0.6227 0.9094 0.7535 1
O97 O 0.6590 0.8357 0.2570 1
O98 O 0.6627 0.4842 0.9134 1
O99 O 0.6758 0.5086 0.5924 1
O100 O 0.6781 0.1444 0.2388 1
O101 O 0.6780 0.8061 0.5777 1
O102 O 0.6811 0.4856 0.1936 1
O103 O 0.6809 0.8366 0.9751 1
O104 O 0.6822 0.1809 0.9256 1
O105 O 0.6882 0.8090 0.8635 1
O106 O 0.6885 0.5130 0.3051 1
O107 O 0.7017 0.1485 0.5278 1
O108 O 0.7025 0.1854 0.6382 1
O109 O 0.7939 0.6433 0.0293 1
O110 O 0.7942 0.6783 0.1389 1
O111 O 0.8050 0.3104 0.3621 1
O112 O 0.8102 0.0089 0.8076 1
O113 O 0.8097 0.6801 0.4243 1
O114 O 0.8135 0.3381 0.4737 1
O115 O 0.8147 0.6442 0.7392 1
O116 O 0.8149 0.9859 0.6954 1
O117 O 0.8174 0.3124 0.0789 1
O118 O 0.8178 0.0084 0.0924 1
O119 O 0.8314 0.3360 0.7566 1
O120 O 0.8336 0.9844 0.4141 1
O121 O 0.8705 0.5712 0.5301 1
O122 O 0.8725 0.9118 0.9166 1
O123 O 0.8735 0.0872 0.3045 1
O124 O 0.8727 0.4102 0.2523 1
O125 O 0.8739 0.4089 0.9778 1
O126 O 0.8799 0.9110 0.1913 1
O127 O 0.8839 0.2394 0.8643 1
O128 O 0.8841 0.7444 0.6369 1
O129 O 0.8897 0.0813 0.5926 1
O130 O 0.8911 0.7508 0.9257 1
O131 O 0.8921 0.5709 0.2430 1
O132 O 0.9007 0.2443 0.5750 1
O133 O 0.9153 0.2313 0.2552 1
O134 O 0.9149 0.8946 0.5924 1
O135 O 0.9195 0.0918 0.9122 1
O136 O 0.9200 0.4253 0.5786 1
O137 O 0.9244 0.5595 0.6395 1
O138 O 0.9260 0.7659 0.5270 1
O139 O 0.9283 0.0988 0.1943 1
O140 O 0.9290 0.2229 0.9749 1
O141 O 0.9304 0.7485 0.2454 1
O142 O 0.9331 0.4262 0.8594 1
O143 O 0.9327 0.8867 0.3122 1
O144 O 0.9342 0.5735 0.9231 1
```

---

(2)
Entry from the Materials Project: La2NiPt after structural relaxation (PBE-GGA).

Values from the calculation:
* crystal system: orthorhombic

```
data_La2NiPt
_chemical_formula_sum 'La4 Ni2 Pt2'
_symmetry_space_group_name_H-M 'A m m 2'
_symmetry_Int_Tables_number 38
_cell_length_a 4.4597
_cell_length_b 3.9707
_cell_length_c 11.0644
_cell_angle_alpha 90.00
_cell_angle_beta 90.00
_cell_angle_gamma 90.00
loop_
_symmetry_equiv_pos_as_xyz
'x,y,z'
'-x,-y,z'
'-x,y,z'
'x,-y,z'
'x,y+1/2,z+1/2'
'-x,-y+1/2,z+1/2'
'-x,y+1/2,z+1/2'
'x,-y+1/2,z+1/2'
loop_
_atom_site_label
_atom_site_type_symbol
_atom_site_fract_x
_atom_site_fract_y
_atom_site_fract_z
_atom_site_occupancy
La1 La 0.0000 0.0000 0.0000 1
La2 La 0.5000 0.0000 0.2711 1
Ni1 Ni 0.5000 0.0000 0.5484 1
Pt1 Pt 0.0000 0.0000 0.7166 1
```

---

(3)
Entry from the Materials Project: Ce3CuGeS7 after structural relaxation (PBE-GGA).

Values from the calculation:
* crystal system: hexagonal

```
data_Ce3CuGeS7
_chemical_formula_sum 'Ce6 Cu2 Ge2 S14'
_symmetry_space_group_name_H-M 'P 63'
_symmetry_Int_Tables_number 173
_cell_length_a 10.1979
_cell_length_b 10.1979
_cell_length_c 5.8637
_cell_angle_alpha 90.00
_cell_angle_beta 90.00
_cell_angle_gamma 120.00
loop_
_symmetry_equiv_pos_as_xyz
'x,y,z'
'x-y,x,z+1/2'
'-y,x-y,z'
'-x,-y,z+1/2'
'-x+y,-x,z'
'y,-x+y,z+1/2'
loop_
_atom_site_label
_atom_site_type_symbol
_atom_site_fract_x
_atom_site_fract_y
_atom_site_fract_z
_atom_site_occupancy
Ce1 Ce 0.1267 0.7701 0.0000 1
Cu1 Cu 0.0000 0.0000 0.4723 1
Ge1 Ge 0.3333 0.6667 0.5809 1
S1 S 0.0890 0.8381 0.4846 1
S2 S 0.1028 0.5198 0.7355 1
S3 S 0.3333 0.6667 0.2036 1
```

---

For each record above, in turn, the calculated energy values are -465.02, -24.73, -72.57 eV/f.u..
For each record above, in turn, the calculated mass density values are 3.00, 9.01, 4.91 g/cm³.